MnSnO3 | PBE with a Hubbard U | relaxed

Results
As for the total DFT energy (no corrections): -6.787 eV/atom. The formation energy from the elements is -9.649 eV per formula unit. The calculation puts the size of the total moment at 10.000 Bohr magnetons per cell.

Cell and atoms, written as CIF:
```
data_MnSnO3
_chemical_formula_sum 'Mn2 Sn2 O6'
_cell_length_a 5.3761
_cell_length_b 5.7958
_cell_length_c 6.0702
_cell_angle_alpha 83.20
_cell_angle_beta 75.40
_cell_angle_gamma 76.60
_space_group_name_H-M_alt 'P -1'
_space_group_IT_number 2
loop_
_space_group_symop_operation_xyz
'x,y,z'
'-x,-y,-z'
loop_
_atom_site_label
_atom_site_type_symbol
_atom_site_fract_x
_atom_site_fract_y
_atom_site_fract_z
Mn1 Mn 0.1022 0.4037 0.2280
Sn1 Sn 0.4598 0.2386 0.6141
O1 O 0.1872 0.3241 0.8909
O2 O 0.2445 0.5828 0.4617
O3 O 0.3691 0.1154 0.3461
```